Na2Mg2Si3Ge6S9O48 | the Materials Project | GGA-PBE | optimized geometry; space group = P1; E = -6.255 eV/atom; size of the total moment = 0.00 μB/cell; ΔE_f = -2.09 eV/atom
1.0
8.4665 0.0000 0.0000
0.0414 14.6340 0.0000
0.0319 0.3200 22.0425
Na Mg Si Ge S O
6 6 9 18 27 144
Direct
0.0000 0.0000 0.0000 Na
0.0011 0.0046 0.5038 Na
0.0072 0.6754 0.1641 Na
0.4868 0.1738 0.6665 Na
0.4927 0.5063 0.0022 Na
0.4977 0.5084 0.5032 Na
0.0078 0.6788 0.0228 Mg
0.4896 0.1743 0.5237 Mg
0.4991 0.5091 0.6491 Mg
0.5051 0.1751 0.8178 Mg
0.9898 0.6754 0.3172 Mg
0.9974 0.0081 0.1469 Mg
0.1387 0.1959 0.5885 Si
0.1429 0.8216 0.9190 Si
0.2224 0.8376 0.5849 Si
0.2731 0.3356 0.0845 Si
0.3545 0.6942 0.0885 Si
0.6458 0.3644 0.2497 Si
0.6507 0.3193 0.9165 Si
0.8440 0.8194 0.4165 Si
0.8485 0.8633 0.7484 Si
0.0009 0.3428 0.9784 Ge
0.0030 0.3377 0.6917 Ge
0.0051 0.6887 0.5243 Ge
0.0049 0.6886 0.8150 Ge
0.0127 0.9993 0.6439 Ge
0.4834 0.4973 0.1419 Ge
0.4854 0.8287 0.9785 Ge
0.4892 0.1868 0.0215 Ge
0.4909 0.8396 0.1855 Ge
0.4934 0.8383 0.6924 Ge
0.4993 0.8417 0.4814 Ge
0.5002 0.1789 0.3120 Ge
0.5018 0.5006 0.8542 Ge
0.5070 0.5068 0.3480 Ge
0.9827 0.9979 0.8527 Ge
0.9932 0.3376 0.1878 Ge
0.9956 0.3343 0.4838 Ge
0.9958 0.9974 0.3523 Ge
0.1353 0.4862 0.5822 S
0.1424 0.1501 0.2541 S
0.1421 0.5298 0.9145 S
0.1503 0.8622 0.2495 S
0.2032 0.1729 0.9179 S
0.2074 0.5064 0.2509 S
0.2870 0.0077 0.7507 S
0.2929 0.6707 0.4176 S
0.3477 0.3624 0.7502 S
0.3490 0.3223 0.4171 S
0.3507 0.6493 0.7532 S
0.3521 0.0308 0.4147 S
0.3600 0.9868 0.0824 S
0.6395 0.0274 0.9215 S
0.6402 0.6533 0.2488 S
0.6425 0.9836 0.5860 S
0.6459 0.6946 0.5837 S
0.7010 0.0058 0.2516 S
0.7077 0.6732 0.9168 S
0.7131 0.3422 0.5854 S
0.7780 0.8414 0.0844 S
0.7899 0.1752 0.4171 S
0.7960 0.5071 0.7515 S
0.8491 0.1953 0.0832 S
0.8529 0.4842 0.0854 S
0.8529 0.5249 0.4213 S
0.8557 0.1503 0.7501 S
0.0431 0.0987 0.5954 O
0.0511 0.7875 0.9773 O
0.0515 0.2363 0.5251 O
0.0547 0.5748 0.5724 O
0.0598 0.4487 0.6382 O
0.0634 0.1075 0.3098 O
0.0664 0.5699 0.8591 O
0.0690 0.9257 0.9076 O
0.0703 0.2415 0.2502 O
0.0753 0.4365 0.9190 O
0.0768 0.9057 0.1971 O
0.0860 0.7710 0.2570 O
0.0949 0.0939 0.9124 O
0.1074 0.5867 0.2585 O
0.1085 0.2571 0.9269 O
0.1109 0.9281 0.5885 O
0.1132 0.2648 0.6461 O
0.1150 0.4219 0.2455 O
0.1154 0.4260 0.5275 O
0.1204 0.7437 0.5790 O
0.1220 0.0952 0.2005 O
0.1217 0.5821 0.9694 O
0.1274 0.9193 0.3067 O
0.1292 0.7578 0.8578 O
0.1681 0.3591 0.0241 O
0.1687 0.3200 0.1467 O
0.1693 0.3616 0.7473 O
0.1699 0.6801 0.0856 O
0.1746 0.3330 0.4238 O
0.1762 0.0243 0.4061 O
0.1772 0.6538 0.7607 O
0.1878 0.9918 0.8052 O
0.1886 0.9963 0.0897 O
0.1931 0.0276 0.6942 O
0.1978 0.6476 0.4736 O
0.1990 0.6841 0.3633 O
0.2993 0.1497 0.9742 O
0.2986 0.1876 0.8642 O
0.3058 0.5268 0.1966 O
0.3067 0.4893 0.3077 O
0.3067 0.4956 0.5881 O
0.3163 0.1574 0.2640 O
0.3194 0.5223 0.9064 O
0.3243 0.1858 0.5836 O
0.3247 0.8591 0.5227 O
0.3272 0.8614 0.2461 O
0.3292 0.8205 0.6454 O
0.3356 0.8345 0.9238 O
0.3690 0.2649 0.3620 O
0.3717 0.4199 0.8058 O
0.3729 0.0859 0.4684 O
0.3742 0.7615 0.1478 O
0.3772 0.2428 0.0783 O
0.3772 0.5965 0.6988 O
0.3799 0.9220 0.7446 O
0.3837 0.9266 0.0299 O
0.3845 0.4263 0.0885 O
0.3902 0.0866 0.7566 O
0.3918 0.7520 0.4267 O
0.3993 0.5865 0.4117 O
0.4099 0.2704 0.7566 O
0.4168 0.4043 0.6959 O
0.4210 0.4157 0.4085 O
0.4213 0.9390 0.4190 O
0.4231 0.7414 0.7496 O
0.4257 0.2840 0.4706 O
0.4289 0.0732 0.3591 O
0.4308 0.6077 0.8084 O
0.4344 0.9507 0.1407 O
0.4393 0.0757 0.0743 O
0.4496 0.7352 0.0283 O
0.4536 0.5973 0.0962 O
0.5566 0.4115 0.1926 O
0.5597 0.2808 0.9790 O
0.5611 0.6173 0.3078 O
0.5633 0.2644 0.2616 O
0.5660 0.4231 0.9115 O
0.5674 0.0624 0.8665 O
0.5681 0.7464 0.2449 O
0.5676 0.9426 0.6407 O
0.5715 0.6046 0.5891 O
0.5709 0.7356 0.5284 O
0.5734 0.0743 0.5793 O
0.5813 0.9336 0.9321 O
0.5954 0.5946 0.9078 O
0.5983 0.0870 0.2618 O
0.6015 0.9231 0.2450 O
0.6064 0.5950 0.1974 O
0.6127 0.4234 0.5899 O
0.6159 0.0856 0.9763 O
0.6157 0.7598 0.9212 O
0.6215 0.9282 0.5302 O
0.6244 0.2581 0.5788 O
0.6274 0.7506 0.6382 O
0.6279 0.4262 0.3116 O
0.6331 0.2622 0.8573 O
0.6575 0.8356 0.4318 O
0.6592 0.8510 0.7380 O
0.6740 0.5165 0.4158 O
0.6762 0.1843 0.0765 O
0.6789 0.4885 0.0918 O
0.6799 0.8605 0.0297 O
0.6830 0.8295 0.1434 O
0.6846 0.1584 0.7541 O
0.6914 0.1909 0.3611 O
0.6957 0.1578 0.4711 O
0.6962 0.4856 0.8069 O
0.7002 0.5240 0.6976 O
0.7971 0.6512 0.9711 O
0.7981 0.0251 0.1989 O
0.7977 0.9873 0.3083 O
0.8026 0.6860 0.8601 O
0.8087 0.3631 0.5286 O
0.8108 0.3288 0.6412 O
0.8115 0.6583 0.2547 O
0.8163 0.9893 0.5911 O
0.8185 0.0246 0.9154 O
0.8196 0.6830 0.5762 O
0.8344 0.3499 0.2389 O
0.8364 0.3353 0.9323 O
0.8614 0.9278 0.8084 O
0.8627 0.7615 0.3579 O
0.8660 0.2512 0.1393 O
0.8656 0.7562 0.0821 O
0.8746 0.4273 0.0311 O
0.8757 0.5810 0.4759 O
0.8777 0.9229 0.0902 O
0.8854 0.2611 0.4214 O
0.8893 0.0957 0.6960 O
0.8938 0.4210 0.7442 O
0.8965 0.0956 0.4082 O
0.8989 0.5848 0.7624 O
0.9208 0.5745 0.0793 O
0.9228 0.4303 0.4300 O
0.9231 0.5599 0.3659 O
0.9245 0.7614 0.7581 O
0.9252 0.1058 0.0902 O
0.9254 0.2374 0.0294 O
0.9270 0.4441 0.1418 O
0.9280 0.2448 0.7463 O
0.9286 0.9234 0.4115 O
0.9342 0.1129 0.8068 O
0.9352 0.7799 0.4790 O
0.9377 0.9098 0.6903 O

***

Na14Mg2Si9Ge6S3O48 | the Materials Project | GGA-PBE | optimized geometry; space group = P1; E = -6.312 eV/atom; size of the total moment = 0.00 μB/cell; ΔE_f = -2.47 eV/atom
1.0
8.8947 0.0000 0.0000
-0.0299 15.2367 0.0000
-0.2041 -0.0402 21.7671
Na Mg Si Ge S O
42 6 27 18 9 144
Direct
0.0000 0.0000 0.0000 Na
0.9997 0.3258 0.6717 Na
0.0059 0.6619 0.3404 Na
0.1309 0.1684 0.0887 Na
0.1318 0.1578 0.5866 Na
0.1315 0.4999 0.7515 Na
0.1329 0.8268 0.9189 Na
0.1381 0.4865 0.2550 Na
0.1418 0.8234 0.4239 Na
0.2642 0.0021 0.5097 Na
0.2746 0.6637 0.8405 Na
0.3142 0.3039 0.5059 Na
0.3193 0.9812 0.8367 Na
0.3211 0.6447 0.1702 Na
0.3230 0.0099 0.1739 Na
0.3280 0.3384 0.8351 Na
0.3305 0.6824 0.5021 Na
0.4461 0.1814 0.9985 Na
0.4475 0.8390 0.3406 Na
0.4531 0.5081 0.6739 Na
0.4547 0.4794 0.3413 Na
0.4588 0.1455 0.6756 Na
0.4637 0.8035 0.0017 Na
0.5005 0.1640 0.3435 Na
0.5141 0.5005 0.0055 Na
0.6329 0.3220 0.9210 Na
0.6379 0.9928 0.7516 Na
0.6410 0.6564 0.0847 Na
0.6421 0.3258 0.4235 Na
0.6442 0.6677 0.5892 Na
0.6446 0.0018 0.2526 Na
0.7644 0.1634 0.8309 Na
0.7705 0.4990 0.5045 Na
0.7721 0.8297 0.1730 Na
0.8168 0.4799 0.8313 Na
0.8184 0.8056 0.5092 Na
0.8214 0.8401 0.8400 Na
0.8358 0.1797 0.5044 Na
0.9403 0.6797 0.9992 Na
0.9534 0.3390 0.3433 Na
0.9551 0.9805 0.3357 Na
0.9562 0.3040 0.0060 Na
0.1321 0.1674 0.4454 Mg
0.1359 0.1591 0.9403 Mg
0.1456 0.8294 0.2708 Mg
0.6310 0.3228 0.7674 Mg
0.6377 0.6600 0.4421 Mg
0.6431 0.6665 0.9444 Mg
0.2791 0.3050 0.3404 Si
0.2794 0.3506 0.0035 Si
0.2788 0.6428 0.0095 Si
0.2853 0.6859 0.6720 Si
0.2879 0.9656 0.6704 Si
0.3372 0.6618 0.3430 Si
0.3439 0.3295 0.6721 Si
0.4298 0.1622 0.8417 Si
0.4350 0.8282 0.1733 Si
0.4873 0.4668 0.1702 Si
0.4890 0.1862 0.1714 Si
0.4939 0.1443 0.5093 Si
0.4957 0.8051 0.8405 Si
0.4997 0.8544 0.5064 Si
0.7767 0.1383 0.0072 Si
0.7769 0.5153 0.3366 Si
0.7795 0.4765 0.6754 Si
0.7840 0.8559 0.0094 Si
0.7912 0.1730 0.6745 Si
0.8447 0.1601 0.3381 Si
0.8506 0.4907 0.0118 Si
0.9279 0.9907 0.5108 Si
0.9299 0.6602 0.8388 Si
0.9893 0.3558 0.5086 Si
0.9948 0.9767 0.1752 Si
0.9984 0.6383 0.5071 Si
0.9985 0.0144 0.8373 Si
0.1195 0.4972 0.6150 Ge
0.1203 0.4970 0.3987 Ge
0.1208 0.5008 0.9122 Ge
0.1284 0.1665 0.2337 Ge
0.1395 0.8298 0.0718 Ge
0.1455 0.1451 0.7289 Ge
0.1512 0.4895 0.1029 Ge
0.1519 0.8255 0.7755 Ge
0.1564 0.8284 0.5650 Ge
0.6102 0.6461 0.2363 Ge
0.6203 0.3255 0.2766 Ge
0.6204 0.3282 0.0650 Ge
0.6321 0.9984 0.6074 Ge
0.6463 0.6672 0.7332 Ge
0.6505 0.3211 0.5774 Ge
0.6536 0.0042 0.4152 Ge
0.6544 0.9984 0.1144 Ge
0.6575 0.9983 0.8960 Ge
0.2845 0.0157 0.3398 S
0.3490 0.9923 0.0076 S
0.4241 0.4934 0.5060 S
0.4893 0.5153 0.8406 S
0.7809 0.8074 0.3378 S
0.8492 0.8275 0.6725 S
0.9280 0.3293 0.1723 S
0.9880 0.6787 0.1724 S
0.9935 0.3108 0.8401 S
0.0104 0.9157 0.2343 O
0.0118 0.4169 0.4450 O
0.0159 0.7351 0.1158 O
0.0197 0.2576 0.8957 O
0.0216 0.0837 0.7805 O
0.0250 0.2476 0.1750 O
0.0265 0.4084 0.1687 O
0.0270 0.8986 0.5142 O
0.0293 0.5737 0.5643 O
0.0345 0.0741 0.5027 O
0.0403 0.5681 0.8453 O
0.0413 0.7460 0.8290 O
0.0553 0.7206 0.2272 O
0.0583 0.2717 0.7845 O
0.0612 0.2596 0.5059 O
0.0618 0.5918 0.1682 O
0.0638 0.9136 0.8264 O
0.0707 0.3999 0.8445 O
0.0729 0.4015 0.5671 O
0.0740 0.0456 0.9007 O
0.0799 0.0737 0.1778 O
0.0796 0.7363 0.5132 O
0.0808 0.5990 0.4438 O
0.0828 0.9303 0.1145 O
0.1892 0.2615 0.2799 O
0.1907 0.6013 0.9481 O
0.1926 0.7403 0.0144 O
0.1993 0.3929 0.0642 O
0.2012 0.4039 0.3463 O
0.2043 0.7261 0.7329 O
0.2037 0.9255 0.6093 O
0.2075 0.2545 0.0021 O
0.2133 0.9276 0.3354 O
0.2157 0.0656 0.6739 O
0.2179 0.5849 0.6640 O
0.2224 0.0573 0.3942 O
0.2245 0.7443 0.3339 O
0.2352 0.4172 0.6624 O
0.2376 0.2402 0.6783 O
0.2387 0.5686 0.3452 O
0.2490 0.0692 0.0046 O
0.2515 0.5812 0.0703 O
0.2533 0.4192 0.9442 O
0.2528 0.9095 0.0110 O
0.2527 0.9102 0.7325 O
0.2591 0.0695 0.2825 O
0.2591 0.7455 0.6101 O
0.2728 0.2452 0.3997 O
0.3002 0.4841 0.1659 O
0.3054 0.1721 0.1816 O
0.3112 0.8195 0.8319 O
0.3127 0.8479 0.5072 O
0.3160 0.1508 0.5035 O
0.3206 0.1420 0.7792 O
0.3212 0.5060 0.8429 O
0.3231 0.8046 0.1128 O
0.3301 0.1791 0.9014 O
0.3297 0.4804 0.4490 O
0.3331 0.5070 0.5611 O
0.3406 0.8487 0.2333 O
0.4353 0.3554 0.7330 O
0.4382 0.6393 0.2787 O
0.4385 0.9776 0.9519 O
0.4407 0.0046 0.0637 O
0.4448 0.6831 0.3998 O
0.4519 0.0055 0.3418 O
0.4572 0.3082 0.6124 O
0.4570 0.6497 0.0056 O
0.4638 0.3199 0.3320 O
0.4657 0.3469 0.0065 O
0.4697 0.6729 0.6821 O
0.4708 0.9793 0.6660 O
0.5022 0.7461 0.9009 O
0.5132 0.5698 0.7841 O
0.5162 0.2461 0.1099 O
0.5182 0.4110 0.2323 O
0.5194 0.0794 0.5674 O
0.5187 0.4130 0.5084 O
0.5226 0.5718 0.5022 O
0.5240 0.9193 0.4433 O
0.5326 0.0689 0.8445 O
0.5405 0.9159 0.1637 O
0.5417 0.2461 0.8360 O
0.5472 0.7383 0.1804 O
0.5521 0.5574 0.8960 O
0.5570 0.0849 0.1639 O
0.5601 0.4279 0.8368 O
0.5607 0.5679 0.1755 O
0.5659 0.4269 0.1090 O
0.5704 0.7576 0.5034 O
0.5709 0.2271 0.2325 O
0.5739 0.9041 0.8472 O
0.5799 0.2413 0.5139 O
0.5799 0.9001 0.5652 O
0.5821 0.1044 0.4467 O
0.5868 0.7610 0.7817 O
0.6927 0.0974 0.9446 O
0.6944 0.5741 0.6777 O
0.6949 0.4302 0.6138 O
0.6960 0.2362 0.0137 O
0.6978 0.5490 0.3976 O
0.7014 0.9004 0.0685 O
0.7061 0.8954 0.3404 O
0.7066 0.0775 0.6653 O
0.7073 0.2127 0.7327 O
0.7112 0.4149 0.3248 O
0.7145 0.7589 0.0071 O
0.7150 0.7658 0.2809 O
0.7327 0.0682 0.3452 O
0.7346 0.2470 0.3283 O
0.7445 0.5745 0.0049 O
0.7472 0.0742 0.0653 O
0.7496 0.3996 0.0161 O
0.7524 0.7451 0.6757 O
0.7519 0.9050 0.6695 O
0.7532 0.5867 0.2784 O
0.7557 0.7544 0.3929 O
0.7623 0.4180 0.7355 O
0.7634 0.9176 0.9468 O
0.7720 0.2400 0.6134 O
0.8020 0.3496 0.5141 O
0.8089 0.0110 0.5644 O
0.8112 0.0069 0.8398 O
0.8111 0.9844 0.1681 O
0.8171 0.6368 0.7800 O
0.8185 0.6494 0.5018 O
0.8231 0.6734 0.1746 O
0.8285 0.3237 0.8364 O
0.8297 0.9676 0.4452 O
0.8362 0.3160 0.1160 O
0.8386 0.3399 0.2284 O
0.8401 0.6803 0.9004 O
0.9367 0.1805 0.3992 O
0.9391 0.8136 0.6166 O
0.9412 0.8372 0.7293 O
0.9460 0.8189 0.3335 O
0.9484 0.4682 0.9482 O
0.9554 0.1364 0.2789 O
0.9564 0.1496 0.0026 O
0.9634 0.4841 0.6681 O
0.9632 0.5081 0.3394 O
0.9701 0.5116 0.0680 O
0.9729 0.8478 0.0166 O
0.9769 0.1721 0.6790 O